Density functional theory data (PBE) for a relaxed structure of GaGeTe.

calculated total energy = -3.8309 eV per atom
corrected total energy (MP2020 scheme) = -11.9 eV/f.u.
energy of formation = -0.37 eV/atom

a = 12.417 Å, b = 12.417 Å, c = 12.417 Å
α = 19.13°, β = 19.13°, γ = 19.13°
Sites, in units of the cell vectors:
1 Ge 0.678 0.678 0.678
2 Ga 0.255 0.255 0.255
3 Ga 0.745 0.745 0.745
4 Te 0.113 0.113 0.113
5 Te 0.887 0.887 0.887
6 Ge 0.322 0.322 0.322